Record 1
MnP2O7, optimized geometry, DFT PBE with a Hubbard U; excess energy over the best structure of this formula in the dataset = 57 meV per atom; space group = Pa-3, No. 205
1.0
-7.139 -1.527 -3.234
1.082 -7.805 1.295
-3.409 0.720 7.185
Mn P O
4 8 28
Cartesian
0.000 0.000 0.000
-1.163 -3.543 4.240
-5.274 -0.404 1.975
-3.028 -4.666 -0.970
-1.182 -6.799 3.525
-3.176 -4.352 6.772
-5.626 -0.858 5.259
-3.632 -3.305 2.013
-5.834 -5.307 3.233
-3.840 -7.755 -0.013
-8.284 -1.813 1.720
-6.290 -4.260 -1.526
-1.704 0.360 3.593
0.541 -3.902 0.648
-0.970 -5.295 3.524
-2.573 -5.665 7.237
-0.463 -7.385 2.323
-2.586 -4.008 5.415
-4.546 -0.496 6.264
-2.541 -3.029 3.032
-4.673 -4.542 6.609
-2.668 -7.074 3.377
-5.114 -0.531 3.867
-2.991 -3.908 0.776
-5.875 -2.353 5.339
-4.272 -1.983 1.626
-4.733 -4.306 2.623
-3.570 -0.763 -1.617
-3.591 -6.259 -0.094
-5.194 -6.629 3.620
-6.474 -4.704 4.470
-4.352 -8.081 1.379
-6.798 -1.538 1.869
-4.793 -4.070 -1.363
-6.925 -5.583 2.214
-4.919 -8.116 -1.018
-9.003 -1.227 2.923
-6.880 -4.604 -0.169
-6.892 -2.947 -1.991
-8.496 -3.317 1.722

***

Record 2
TbFe3B4O12, optimized geometry, DFT PBE with a Hubbard U; space group = R32, No. 155
1.0
-3.751 4.815 -0.489
-3.803 -4.787 0.343
2.262 0.479 5.670
Tb Fe B O
1 3 4 12
Cartesian
0.000 0.000 0.000
-0.467 -1.890 3.273
-3.780 -0.467 -0.031
-1.046 2.864 2.282
-5.339 2.195 0.004
-2.669 -4.046 3.135
-2.646 0.254 2.762
0.070 2.612 5.147
-3.517 -0.503 1.997
-1.783 -0.369 3.647
-1.707 -3.354 3.847
0.036 1.250 5.387
-5.320 0.812 0.002
-5.124 -1.898 0.585
-2.639 1.633 2.642
-0.189 -1.518 5.279
-4.568 3.009 0.814
-2.625 4.177 2.422
-0.694 3.282 4.209
-3.625 -3.477 2.313

***

| no. | corrected total energy (MP2020 scheme) (eV/atom) | calculated total energy (eV/atom) | formation energy (eV per atom) |
| --- | --- | --- | --- |
| 1 | -7.79 | -7.1419 | -2.327 |
| 2 | -8.39 | -7.6359 | -2.580 |